# 1
# Sr2LaBiO6

Crystalline Sr2LaBiO6 at its relaxed geometry (GGA-PBE, the Materials Project).

Cell lengths 6.052, 6.219, 8.674 Å; angles 90.00, 89.69, 90.00 degrees
Element x y z (fractional)
Sr 0.513 0.548 0.251
Sr 0.987 0.048 0.249
Sr 0.487 0.452 0.749
Sr 0.013 0.952 0.751
La 0.500 0.000 0.000
La 0.000 0.500 0.500
Bi 0.000 0.500 0.000
Bi 0.500 0.000 0.500
O 0.182 0.213 0.942
O 0.318 0.713 0.558
O 0.818 0.787 0.058
O 0.682 0.287 0.442
O 0.287 0.689 0.946
O 0.213 0.189 0.554
O 0.713 0.311 0.054
O 0.787 0.811 0.446
O 0.395 0.956 0.265
O 0.105 0.456 0.235
O 0.605 0.044 0.735
O 0.895 0.544 0.765

Results
Formation energy: -2.807 eV/atom
Total magnetic moment: 0.000 μB/f.u.

***

# 2
# Sr2LaBiO6

Crystalline Sr2LaBiO6 at its relaxed geometry (GGA-PBE, the Materials Project).

Cell lengths 6.243, 6.243, 6.243 Å; angles 60.00, 60.00, 60.00 degrees
Element x y z (fractional)
Sr 0.250 0.250 0.250
Sr 0.750 0.750 0.750
La 0.500 0.500 0.500
Bi 0.000 0.000 0.000
O 0.761 0.239 0.239
O 0.239 0.761 0.761
O 0.761 0.239 0.761
O 0.239 0.761 0.239
O 0.761 0.761 0.239
O 0.239 0.239 0.761

Results
Formation energy: -2.661 eV/atom
Total magnetic moment: 0.000 μB/f.u.

***

# 3
# LaTaBi2O7

Crystalline LaTaBi2O7 at its relaxed geometry (GGA-PBE, the Materials Project).

Cell lengths 7.833, 7.833, 7.833 Å; angles 120.47, 119.91, 89.67 degrees
Element x y z (fractional)
La 0.000 0.500 0.000
La 0.000 0.000 0.500
Ta 0.000 0.500 0.500
Ta 0.500 0.500 0.000
Bi 0.500 0.000 0.000
Bi 0.500 0.500 0.500
Bi 0.500 0.000 0.500
Bi 0.000 0.000 0.000
O 0.232 0.482 0.750
O 0.880 0.130 0.750
O 0.383 0.186 0.818
O 0.868 0.565 0.682
O 0.383 0.565 0.197
O 0.868 0.186 0.303
O 0.768 0.518 0.250
O 0.120 0.870 0.250
O 0.617 0.814 0.182
O 0.132 0.435 0.318
O 0.617 0.435 0.803
O 0.132 0.814 0.697
O 0.618 0.868 0.750
O 0.382 0.132 0.250

Results
Formation energy: -2.717 eV/atom
Total magnetic moment: 0.000 μB/f.u.

***

# 4
# La2Ti3Bi2O12

Crystalline La2Ti3Bi2O12 at its relaxed geometry (GGA-PBE, the Materials Project).

Cell lengths 16.901, 16.900, 3.852 Å; angles 83.47, 83.45, 13.09 degrees
Element x y z (fractional)
La 0.562 0.570 0.438
La 0.430 0.438 0.570
Ti 0.005 0.995 0.995
Ti 0.871 0.872 0.129
Ti 0.128 0.129 0.872
Bi 0.712 0.712 0.288
Bi 0.288 0.288 0.712
O 0.885 0.883 0.616
O 0.384 0.384 0.115
O 0.117 0.115 0.384
O 0.616 0.616 0.883
O 0.943 0.939 0.057
O 0.061 0.057 0.939
O 0.750 0.750 0.750
O 0.250 0.250 0.250
O 0.817 0.818 0.183
O 0.182 0.183 0.818
O 0.044 0.956 0.483
O 0.517 0.483 0.956

Results
Formation energy: -3.168 eV/atom
Total magnetic moment: 0.000 μB/f.u.
Relative energy among the computed polymorphs: 0.002 eV per atom

***

# 5
# LaTi3Bi3O12

Crystalline LaTi3Bi3O12 at its relaxed geometry (GGA-PBE, the Materials Project).

Cell lengths 5.447, 5.469, 16.983 Å; angles 81.04, 90.00, 90.00 degrees
Element x y z (fractional)
La 0.252 0.768 0.882
La 0.748 0.268 0.882
Ti 0.747 0.574 0.270
Ti 0.253 0.074 0.270
Ti 0.751 0.694 0.011
Ti 0.249 0.194 0.011
Ti 0.751 0.835 0.755
Ti 0.249 0.335 0.755
Bi 0.774 0.378 0.590
Bi 0.226 0.878 0.590
Bi 0.243 0.585 0.146
Bi 0.757 0.085 0.146
Bi 0.727 0.957 0.437
Bi 0.273 0.457 0.437
O 0.456 0.916 0.027
O 0.544 0.416 0.027
O 0.483 0.597 0.770
O 0.517 0.097 0.770
O 0.987 0.560 0.790
O 0.013 0.060 0.790
O 0.497 0.680 0.515
O 0.503 0.180 0.515
O 0.801 0.895 0.650
O 0.199 0.395 0.650
O 0.823 0.683 0.130
O 0.177 0.183 0.130
O 0.996 0.680 0.511
O 0.004 0.180 0.511
O 0.697 0.769 0.898
O 0.303 0.269 0.898
O 0.472 0.830 0.234
O 0.528 0.330 0.234
O 0.955 0.020 0.996
O 0.045 0.520 0.996
O 0.954 0.891 0.261
O 0.046 0.391 0.261
O 0.689 0.525 0.375
O 0.311 0.025 0.375

Results
Formation energy: -2.869 eV/atom
Total magnetic moment: 0.000 μB/f.u.

***

# 6
# La2Ti3Bi2O12

Crystalline La2Ti3Bi2O12 at its relaxed geometry (GGA-PBE, the Materials Project).

Cell lengths 16.900, 16.900, 16.900 Å; angles 166.92, 166.92, 18.54 degrees
Element x y z (fractional)
La 0.435 0.435 0.000
La 0.565 0.565 0.000
Ti 0.127 0.127 0.000
Ti 0.873 0.873 0.000
Ti 0.000 0.000 0.000
Bi 0.289 0.289 0.000
Bi 0.711 0.711 0.000
O 0.614 0.114 0.500
O 0.386 0.886 0.500
O 0.886 0.386 0.500
O 0.114 0.614 0.500
O 0.750 0.250 0.500
O 0.250 0.750 0.500
O 0.181 0.181 0.000
O 0.819 0.819 0.000
O 0.058 0.058 0.000
O 0.942 0.942 0.000
O 0.500 0.000 0.500
O 0.000 0.500 0.500

Results
Formation energy: -3.170 eV/atom
Total magnetic moment: 0.001 μB/f.u.
Relative energy among the computed polymorphs: 0.000 eV per atom